VASP calculation (GGA-PBE) on a geometry-optimized Y4MgPd structure.

Values from the calculation:
Volume, Å³ per atom: 27.821
Space group: No. 216
Electronic total energy, eV for the cell shown: -139.4
Energy of formation from the pure elements, eV per atom: -0.366

Lattice parameters (Å, degrees): 9.8107 9.8107 9.8107 60.00 60.00 60.00
Last column: nearest neighbours and their distance in Å.
Fractional coordinates of all 24 atoms:
Y: 0.3508 0.3508 0.3508  3 Pd 2.88
Y: 0.3508 0.3508 0.9476  3 Pd 2.88
Y: 0.3508 0.9476 0.3508  3 Pd 2.88
Y: 0.9476 0.3508 0.3508  3 Pd 2.88
Y: 0.8115 0.1885 0.1885  2 Pd 2.88
Y: 0.1885 0.8115 0.8115  2 Pd 2.88
Y: 0.1885 0.8115 0.1885  2 Pd 2.88
Y: 0.8115 0.1885 0.8115  2 Pd 2.88
Y: 0.1885 0.1885 0.8115  2 Pd 2.88
Y: 0.8115 0.8115 0.1885  2 Pd 2.88
Y: 0.9329 0.5671 0.5671  2 Mg 3.34, 10 Y 3.59-3.69, 2 Pd 3.59
Y: 0.5671 0.9329 0.9329  2 Mg 3.34, 10 Y 3.59-3.69, 2 Pd 3.59
Y: 0.5671 0.9329 0.5671  2 Mg 3.34, 10 Y 3.59-3.69, 2 Pd 3.59
Y: 0.9329 0.5671 0.9329  2 Mg 3.34, 10 Y 3.59-3.69, 2 Pd 3.59
Y: 0.5671 0.5671 0.9329  2 Mg 3.34, 10 Y 3.59-3.69, 2 Pd 3.59
Y: 0.9329 0.9329 0.5671  2 Mg 3.34, 10 Y 3.59-3.69, 2 Pd 3.59
Mg: 0.5803 0.5803 0.5803  3 Mg 3.15, 6 Y 3.34-3.46
Mg: 0.5803 0.5803 0.2592  3 Mg 3.15, 6 Y 3.34-3.46
Mg: 0.5803 0.2592 0.5803  3 Mg 3.15, 6 Y 3.34-3.46
Mg: 0.2592 0.5803 0.5803  3 Mg 3.15, 6 Y 3.34-3.46
Pd: 0.1434 0.1434 0.1434  6 Y 2.88
Pd: 0.1434 0.1434 0.5698  6 Y 2.88
Pd: 0.1434 0.5698 0.1434  6 Y 2.88
Pd: 0.5698 0.1434 0.1434  6 Y 2.88

VASP calculation (GGA-PBE) on a geometry-optimized YMgPd structure.

Values from the calculation:
Volume, Å³ per atom: 21.981
Space group: No. 189
Electronic total energy, eV for the cell shown: -46.0
Energy of formation from the pure elements, eV per atom: -0.696

Lattice parameters (Å, degrees): 7.4714 7.4714 4.0922 90.00 90.00 120.00
Last column: nearest neighbours and their distance in Å.
Fractional coordinates of all 9 atoms:
Y: 0.4117 0.4117 0.5000  5 Pd 3.05-3.08, 6 Mg 3.28-3.37
Y: 0.0000 0.5883 0.5000  5 Pd 3.05-3.08, 6 Mg 3.28-3.37
Y: 0.5883 0.0000 0.5000  5 Pd 3.05-3.08, 6 Mg 3.28-3.37
Mg: 0.7552 0.7552 0.0000  4 Pd 2.74-2.88
Mg: 0.2448 0.0000 0.0000  4 Pd 2.74-2.88
Mg: 0.0000 0.2448 0.0000  4 Pd 2.74-2.88
Pd: 0.6667 0.3333 0.0000  3 Mg 2.88, 6 Y 3.05
Pd: 0.3333 0.6667 0.0000  3 Mg 2.88, 6 Y 3.05
Pd: 0.0000 0.0000 0.5000  6 Mg 2.74

VASP calculation (GGA-PBE) on a geometry-optimized MgZnPd2 structure.

Values from the calculation:
Volume, Å³ per atom: 15.205
Space group: No. 225
Electronic total energy, eV for the cell shown: -15.9
Energy of formation from the pure elements, eV per atom: -0.663

Lattice parameters (Å, degrees): 4.4142 4.4142 4.4142 60.00 60.00 60.00
Last column: nearest neighbours and their distance in Å.
Fractional coordinates of all 4 atoms:
Mg: 0.5000 0.5000 0.5000  8 Pd 2.70
Zn: 0.0000 0.0000 0.0000  8 Pd 2.70
Pd: 0.2500 0.2500 0.2500  4 Mg 2.70, 4 Zn 2.70
Pd: 0.7500 0.7500 0.7500  4 Zn 2.70, 4 Mg 2.70

VASP calculation (GGA-PBE) on a geometry-optimized Pm2Mg structure.

Values from the calculation:
Volume, Å³ per atom: 30.974
Space group: No. 139
Electronic total energy, eV for the cell shown: -11.3
Relative energy among the computed polymorphs, meV per atom: 5
Energy of formation from the pure elements, eV per atom: -0.052

Lattice parameters (Å, degrees): 6.9267 6.9267 6.9267 148.02 148.02 45.86
Last column: nearest neighbours and their distance in Å.
Fractional coordinates of all 3 atoms:
Pm: 0.8430 0.8430 0.0000  4 Mg 3.36, 4 Pm 3.59
Pm: 0.1570 0.1570 0.0000  4 Mg 3.36, 4 Pm 3.59
Mg: 0.5000 0.5000 0.0000  8 Pm 3.36

VASP calculation (GGA-PBE) on a geometry-optimized PmMg3 structure.

Values from the calculation:
Volume, Å³ per atom: 25.244
Space group: No. 225
Electronic total energy, eV for the cell shown: -10.0
Energy of formation from the pure elements, eV per atom: -0.119

Lattice parameters (Å, degrees): 5.2269 5.2269 5.2269 60.00 60.00 60.00
Last column: nearest neighbours and their distance in Å.
Fractional coordinates of all 4 atoms:
Pm: 0.0000 0.0000 0.0000  8 Mg 3.20
Mg: 0.5000 0.5000 0.5000  8 Mg 3.20
Mg: 0.7500 0.7500 0.7500  4 Mg 3.20, 4 Pm 3.20
Mg: 0.2500 0.2500 0.2500  4 Mg 3.20, 4 Pm 3.20

VASP calculation (GGA-PBE) on a geometry-optimized Pm2Mg structure.

Values from the calculation:
Volume, Å³ per atom: 31.016
Space group: No. 63
Electronic total energy, eV for the cell shown: -22.5
Relative energy among the computed polymorphs, meV per atom: 0
Energy of formation from the pure elements, eV per atom: -0.057

Lattice parameters (Å, degrees): 8.9652 8.9652 5.5951 90.00 90.00 155.56
Last column: nearest neighbours and their distance in Å.
Fractional coordinates of all 6 atoms:
Pm: 0.0889 0.9111 0.2500  6 Mg 3.33-3.40, 2 Pm 3.71
Pm: 0.7723 0.2277 0.2500  2 Mg 3.39, 10 Pm 3.47-3.80
Pm: 0.9111 0.0889 0.7500  6 Mg 3.33-3.40, 2 Pm 3.71
Pm: 0.2277 0.7723 0.7500  2 Mg 3.39, 10 Pm 3.47-3.80
Mg: 0.4329 0.5671 0.2500  8 Pm 3.33-3.40, 2 Mg 3.66
Mg: 0.5671 0.4329 0.7500  8 Pm 3.33-3.40, 2 Mg 3.66

VASP calculation (GGA-PBE) on a geometry-optimized Pm2Mg structure.

Values from the calculation:
Volume, Å³ per atom: 30.872
Space group: No. 12
Electronic total energy, eV for the cell shown: -22.4
Relative energy among the computed polymorphs, meV per atom: 16
Energy of formation from the pure elements, eV per atom: -0.041

Lattice parameters (Å, degrees): 7.0435 7.0435 7.5617 74.61 74.61 30.91
Last column: nearest neighbours and their distance in Å.
Fractional coordinates of all 6 atoms:
Pm: 0.8475 0.8475 0.5691  4 Mg 3.38-3.40, 7 Pm 3.58-3.75
Pm: 0.1525 0.1525 0.4309  4 Mg 3.38-3.40, 7 Pm 3.58-3.75
Pm: 0.8348 0.8348 0.0889  4 Mg 3.36-3.38, 7 Pm 3.51-3.75
Pm: 0.1652 0.1652 0.9111  4 Mg 3.36-3.38, 7 Pm 3.51-3.75
Mg: 0.4952 0.4952 0.7663  8 Pm 3.36-3.40, 3 Mg 3.57-3.75
Mg: 0.5048 0.5048 0.2337  8 Pm 3.36-3.40, 3 Mg 3.57-3.75

VASP calculation (GGA-PBE) on a geometry-optimized PmMg149 structure.

Values from the calculation:
Spin magnetization, Bohr magnetons per cell: 0.02
Volume, Å³ per atom: 23.023
Space group: No. 187
Electronic total energy, eV for the cell shown: -246.9
Energy of formation from the pure elements, eV per atom: -0.025

Lattice parameters (Å, degrees): 15.9803 15.9803 15.6154 90.00 90.00 120.00
Last column: nearest neighbours and their distance in Å.
Fractional coordinates of all 150 atoms:
Pm: 0.0000 0.0000 0.0000  12 Mg 3.26
Mg: 0.6001 0.2001 0.0000  12 Mg 3.18-3.20
Mg: 0.4014 0.2007 0.0000  12 Mg 3.18-3.22
Mg: 0.7993 0.2007 0.0000  12 Mg 3.18-3.22
Mg: 0.0033 0.2059 0.0000  11 Mg 3.13-3.34, 1 Pm 3.26
Mg: 0.2026 0.2059 0.0000  11 Mg 3.13-3.34, 1 Pm 3.26
Mg: 0.6001 0.3999 0.0000  12 Mg 3.18-3.20
Mg: 0.7999 0.3999 0.0000  12 Mg 3.18-3.20
Mg: 0.0002 0.4003 0.0000  12 Mg 3.13-3.20
Mg: 0.4002 0.4004 0.0000  12 Mg 3.13-3.20
Mg: 0.2018 0.4035 0.0000  12 Mg 3.15-3.21
Mg: 0.7993 0.5986 0.0000  12 Mg 3.18-3.22
Mg: 0.0002 0.5998 0.0000  12 Mg 3.13-3.20
Mg: 0.5997 0.5998 0.0000  12 Mg 3.13-3.20
Mg: 0.2006 0.6003 0.0000  12 Mg 3.15-3.20
Mg: 0.3997 0.6003 0.0000  12 Mg 3.15-3.20
Mg: 0.7941 0.7974 0.0000  11 Mg 3.13-3.34, 1 Pm 3.26
Mg: 0.0033 0.7974 0.0000  11 Mg 3.13-3.34, 1 Pm 3.26
Mg: 0.5965 0.7982 0.0000  12 Mg 3.15-3.21
Mg: 0.2018 0.7982 0.0000  12 Mg 3.15-3.21
Mg: 0.3997 0.7994 0.0000  12 Mg 3.15-3.20
Mg: 0.7941 0.9967 0.0000  11 Mg 3.13-3.34, 1 Pm 3.26
Mg: 0.2026 0.9967 0.0000  11 Mg 3.13-3.34, 1 Pm 3.26
Mg: 0.4002 0.9998 0.0000  12 Mg 3.13-3.20
Mg: 0.5996 0.9998 0.0000  12 Mg 3.13-3.20
Mg: 0.2632 0.1316 0.1644  12 Mg 3.16-3.24
Mg: 0.8684 0.1316 0.1644  12 Mg 3.16-3.24
Mg: 0.8684 0.7368 0.1644  12 Mg 3.16-3.24
Mg: 0.6667 0.3333 0.1662  12 Mg 3.18-3.21
Mg: 0.4655 0.1329 0.1665  12 Mg 3.18-3.23
Mg: 0.6674 0.1329 0.1665  12 Mg 3.18-3.23
Mg: 0.4655 0.3326 0.1665  12 Mg 3.18-3.23
Mg: 0.8671 0.3326 0.1665  12 Mg 3.18-3.23
Mg: 0.8671 0.5345 0.1665  12 Mg 3.18-3.23
Mg: 0.6674 0.5345 0.1665  12 Mg 3.18-3.23
Mg: 0.0667 0.5334 0.1673  12 Mg 3.17-3.20
Mg: 0.4666 0.5334 0.1673  12 Mg 3.17-3.20
Mg: 0.4666 0.9333 0.1673  12 Mg 3.17-3.20
Mg: 0.2672 0.5344 0.1674  12 Mg 3.17-3.20
Mg: 0.4656 0.7328 0.1674  12 Mg 3.17-3.20
Mg: 0.2672 0.7328 0.1674  12 Mg 3.17-3.20
Mg: 0.0681 0.3360 0.1678  12 Mg 3.17-3.23
Mg: 0.2679 0.3360 0.1678  12 Mg 3.17-3.23
Mg: 0.6640 0.7321 0.1678  12 Mg 3.17-3.23
Mg: 0.0681 0.7321 0.1678  12 Mg 3.17-3.23
Mg: 0.2679 0.9319 0.1678  12 Mg 3.17-3.23
Mg: 0.6640 0.9319 0.1678  12 Mg 3.17-3.23
Mg: 0.0682 0.1365 0.1704  11 Mg 3.14-3.27, 1 Pm 3.26
Mg: 0.0682 0.9318 0.1704  11 Mg 3.14-3.27, 1 Pm 3.26
Mg: 0.8635 0.9318 0.1704  11 Mg 3.14-3.27, 1 Pm 3.26
Mg: 0.3997 0.1999 0.3328  12 Mg 3.18-3.24
Mg: 0.8001 0.1999 0.3328  12 Mg 3.18-3.24
Mg: 0.8001 0.6003 0.3328  12 Mg 3.18-3.24
Mg: 0.6000 0.2000 0.3328  12 Mg 3.19-3.20
Mg: 0.8000 0.4000 0.3328  12 Mg 3.19-3.20
Mg: 0.6000 0.4000 0.3328  12 Mg 3.19-3.20
Mg: 0.7994 0.0001 0.3336  12 Mg 3.14-3.21
Mg: 0.2007 0.0001 0.3336  12 Mg 3.14-3.21
Mg: 0.2007 0.2006 0.3336  12 Mg 3.14-3.21
Mg: 0.9999 0.2006 0.3336  12 Mg 3.14-3.21
Mg: 0.7994 0.7993 0.3336  12 Mg 3.14-3.21
Mg: 0.9999 0.7993 0.3336  12 Mg 3.14-3.21
Mg: 0.4005 0.0002 0.3338  12 Mg 3.18-3.20
Mg: 0.5997 0.0002 0.3338  12 Mg 3.18-3.20
Mg: 0.9998 0.4003 0.3338  12 Mg 3.18-3.20
Mg: 0.4005 0.4003 0.3338  12 Mg 3.18-3.20
Mg: 0.5997 0.5995 0.3338  12 Mg 3.18-3.20
Mg: 0.9998 0.5995 0.3338  12 Mg 3.18-3.20
Mg: 0.4000 0.6000 0.3338  12 Mg 3.18-3.20
Mg: 0.1999 0.6000 0.3338  12 Mg 3.18-3.20
Mg: 0.4000 0.8001 0.3338  12 Mg 3.18-3.20
Mg: 0.2003 0.4005 0.3342  12 Mg 3.18-3.20
Mg: 0.5995 0.7997 0.3342  12 Mg 3.18-3.20
Mg: 0.2003 0.7997 0.3342  12 Mg 3.18-3.20
Mg: 0.0000 0.0000 0.3346  12 Mg 3.18-3.21
Mg: 0.2671 0.1336 0.5000  12 Mg 3.19-3.20
Mg: 0.8664 0.1336 0.5000  12 Mg 3.19-3.20
Mg: 0.0668 0.1336 0.5000  12 Mg 3.18-3.20
Mg: 0.4671 0.1342 0.5000  12 Mg 3.17-3.21
Mg: 0.6672 0.1342 0.5000  12 Mg 3.17-3.21
Mg: 0.4671 0.3328 0.5000  12 Mg 3.17-3.21
Mg: 0.8658 0.3328 0.5000  12 Mg 3.17-3.21
Mg: 0.6667 0.3333 0.5000  12 Mg 3.19-3.20
Mg: 0.2668 0.3337 0.5000  12 Mg 3.18-3.21
Mg: 0.0669 0.3337 0.5000  12 Mg 3.18-3.21
Mg: 0.8658 0.5329 0.5000  12 Mg 3.17-3.21
Mg: 0.6672 0.5329 0.5000  12 Mg 3.17-3.21
Mg: 0.0661 0.5331 0.5000  12 Mg 3.18-3.20
Mg: 0.4669 0.5331 0.5000  12 Mg 3.18-3.20
Mg: 0.2668 0.5335 0.5000  12 Mg 3.18-3.20
Mg: 0.8664 0.7329 0.5000  12 Mg 3.19-3.20
Mg: 0.0669 0.7332 0.5000  12 Mg 3.18-3.21
Mg: 0.6663 0.7332 0.5000  12 Mg 3.18-3.21
Mg: 0.4664 0.7332 0.5000  12 Mg 3.18-3.20
Mg: 0.2668 0.7332 0.5000  12 Mg 3.18-3.20
Mg: 0.8664 0.9332 0.5000  12 Mg 3.18-3.20
Mg: 0.0668 0.9332 0.5000  12 Mg 3.18-3.20
Mg: 0.2668 0.9331 0.5000  12 Mg 3.18-3.21
Mg: 0.6663 0.9331 0.5000  12 Mg 3.18-3.21
Mg: 0.4669 0.9339 0.5000  12 Mg 3.18-3.20
Mg: 0.0000 0.0000 0.6654  12 Mg 3.18-3.21
Mg: 0.2003 0.4005 0.6658  12 Mg 3.18-3.20
Mg: 0.5995 0.7997 0.6658  12 Mg 3.18-3.20
Mg: 0.2003 0.7997 0.6658  12 Mg 3.18-3.20
Mg: 0.4000 0.6000 0.6662  12 Mg 3.18-3.20
Mg: 0.1999 0.6000 0.6662  12 Mg 3.18-3.20
Mg: 0.4000 0.8001 0.6662  12 Mg 3.18-3.20
Mg: 0.4005 0.0002 0.6662  12 Mg 3.18-3.20
Mg: 0.5997 0.0002 0.6662  12 Mg 3.18-3.20
Mg: 0.9998 0.4003 0.6662  12 Mg 3.18-3.20
Mg: 0.4005 0.4003 0.6662  12 Mg 3.18-3.20
Mg: 0.5997 0.5995 0.6662  12 Mg 3.18-3.20
Mg: 0.9998 0.5995 0.6662  12 Mg 3.18-3.20
Mg: 0.7994 0.0001 0.6664  12 Mg 3.14-3.21
Mg: 0.2007 0.0001 0.6664  12 Mg 3.14-3.21
Mg: 0.2007 0.2006 0.6664  12 Mg 3.14-3.21
Mg: 0.9999 0.2006 0.6664  12 Mg 3.14-3.21
Mg: 0.7994 0.7993 0.6664  12 Mg 3.14-3.21
Mg: 0.9999 0.7993 0.6664  12 Mg 3.14-3.21
Mg: 0.6000 0.2000 0.6672  12 Mg 3.19-3.20
Mg: 0.8000 0.4000 0.6672  12 Mg 3.19-3.20
Mg: 0.6000 0.4000 0.6672  12 Mg 3.19-3.20
Mg: 0.3997 0.1999 0.6672  12 Mg 3.18-3.24
Mg: 0.8001 0.1999 0.6672  12 Mg 3.18-3.24
Mg: 0.8001 0.6003 0.6672  12 Mg 3.18-3.24
Mg: 0.0682 0.1365 0.8296  11 Mg 3.14-3.27, 1 Pm 3.26
Mg: 0.0682 0.9318 0.8296  11 Mg 3.14-3.27, 1 Pm 3.26
Mg: 0.8635 0.9318 0.8296  11 Mg 3.14-3.27, 1 Pm 3.26
Mg: 0.0681 0.3360 0.8322  12 Mg 3.17-3.23
Mg: 0.2679 0.3360 0.8322  12 Mg 3.17-3.23
Mg: 0.6640 0.7321 0.8322  12 Mg 3.17-3.23
Mg: 0.0681 0.7321 0.8322  12 Mg 3.17-3.23
Mg: 0.2679 0.9319 0.8322  12 Mg 3.17-3.23
Mg: 0.6640 0.9319 0.8322  12 Mg 3.17-3.23
Mg: 0.2672 0.5344 0.8326  12 Mg 3.17-3.20
Mg: 0.4656 0.7328 0.8326  12 Mg 3.17-3.20
Mg: 0.2672 0.7328 0.8326  12 Mg 3.17-3.20
Mg: 0.0667 0.5334 0.8327  12 Mg 3.17-3.20
Mg: 0.4666 0.5334 0.8327  12 Mg 3.17-3.20
Mg: 0.4666 0.9333 0.8327  12 Mg 3.17-3.20
Mg: 0.4655 0.1329 0.8335  12 Mg 3.18-3.23
Mg: 0.6674 0.1329 0.8335  12 Mg 3.18-3.23
Mg: 0.4655 0.3326 0.8335  12 Mg 3.18-3.23
Mg: 0.8671 0.3326 0.8335  12 Mg 3.18-3.23
Mg: 0.8671 0.5345 0.8335  12 Mg 3.18-3.23
Mg: 0.6674 0.5345 0.8335  12 Mg 3.18-3.23
Mg: 0.6667 0.3333 0.8338  12 Mg 3.18-3.21
Mg: 0.2632 0.1316 0.8356  12 Mg 3.16-3.24
Mg: 0.8684 0.1316 0.8356  12 Mg 3.16-3.24
Mg: 0.8684 0.7368 0.8356  12 Mg 3.16-3.24

VASP calculation (GGA-PBE) on a geometry-optimized Pm3Mg structure.

Values from the calculation:
Volume, Å³ per atom: 31.385
Space group: No. 139
Electronic total energy, eV for the cell shown: -15.8
Energy of formation from the pure elements, eV per atom: 0.004

Lattice parameters (Å, degrees): 6.1320 6.1320 6.1320 131.80 131.80 70.54
Last column: nearest neighbours and their distance in Å.
Fractional coordinates of all 4 atoms:
Pm: 0.5000 0.5000 0.0000  8 Pm 3.54, 4 Mg 3.54
Pm: 0.7500 0.2500 0.5000  4 Mg 3.54, 8 Pm 3.54
Pm: 0.2500 0.7500 0.5000  8 Pm 3.54, 4 Mg 3.54
Mg: 0.0000 0.0000 0.0000  12 Pm 3.54

> volume of number 5 (PmMg3)?

25.244 Å³ per atom